Record 1
{
  "formula": "Pr3Sn13Ir4",
  "functional": "GGA-PBE",
  "state": "relaxed",
  "cell": [[9.8400, 0.0000, 0.0000], [0.0000, 9.8400, 0.0000], [0.0000, 0.0000, 9.8400]],
  "species": ["Pr", "Pr", "Pr", "Pr", "Pr", "Pr", "Sn", "Sn", "Sn", "Sn", "Sn", "Sn", "Sn", "Sn", "Sn", "Sn", "Sn", "Sn", "Sn", "Sn", "Sn", "Sn", "Sn", "Sn", "Sn", "Sn", "Sn", "Sn", "Sn", "Sn", "Sn", "Sn", "Ir", "Ir", "Ir", "Ir", "Ir", "Ir", "Ir", "Ir"],
  "fractional_positions": [[0.0000, 0.2500, 0.5000], [0.0000, 0.7500, 0.5000], [0.2500, 0.5000, 0.0000], [0.5000, 0.0000, 0.2500], [0.5000, 0.0000, 0.7500], [0.7500, 0.5000, 0.0000], [0.0000, 0.0000, 0.0000], [0.0000, 0.3054, 0.1525], [0.0000, 0.3054, 0.8475], [0.0000, 0.6946, 0.1525], [0.0000, 0.6946, 0.8475], [0.1525, 0.0000, 0.3054], [0.1525, 0.0000, 0.6946], [0.1946, 0.5000, 0.3475], [0.1946, 0.5000, 0.6525], [0.3054, 0.1525, 0.0000], [0.3054, 0.8475, 0.0000], [0.3475, 0.1946, 0.5000], [0.3475, 0.8054, 0.5000], [0.5000, 0.3475, 0.1946], [0.5000, 0.3475, 0.8054], [0.5000, 0.5000, 0.5000], [0.5000, 0.6525, 0.1946], [0.5000, 0.6525, 0.8054], [0.6525, 0.1946, 0.5000], [0.6525, 0.8054, 0.5000], [0.6946, 0.1525, 0.0000], [0.6946, 0.8475, 0.0000], [0.8054, 0.5000, 0.3475], [0.8054, 0.5000, 0.6525], [0.8475, 0.0000, 0.3054], [0.8475, 0.0000, 0.6946], [0.2500, 0.2500, 0.2500], [0.2500, 0.2500, 0.7500], [0.2500, 0.7500, 0.2500], [0.2500, 0.7500, 0.7500], [0.7500, 0.2500, 0.2500], [0.7500, 0.2500, 0.7500], [0.7500, 0.7500, 0.2500], [0.7500, 0.7500, 0.7500]],
  "spacegroup": "Pm-3n"
}

***

Record 2
{
  "formula": "Pr5Sn10Ir4",
  "functional": "GGA-PBE",
  "state": "relaxed",
  "cell": [[14.1927, 0.0000, 0.0000], [0.0000, 14.1927, 0.0000], [0.0000, 0.0000, 4.7026]],
  "species": ["Pr", "Pr", "Pr", "Pr", "Pr", "Pr", "Pr", "Pr", "Pr", "Pr", "Sn", "Sn", "Sn", "Sn", "Sn", "Sn", "Sn", "Sn", "Sn", "Sn", "Sn", "Sn", "Sn", "Sn", "Sn", "Sn", "Sn", "Sn", "Sn", "Sn", "Ir", "Ir", "Ir", "Ir", "Ir", "Ir", "Ir", "Ir"],
  "fractional_positions": [[0.0000, 0.0000, 0.0000], [0.1125, 0.3875, 0.5000], [0.1765, 0.6765, 0.5000], [0.3235, 0.1765, 0.5000], [0.3875, 0.8875, 0.5000], [0.5000, 0.5000, 0.0000], [0.6125, 0.1125, 0.5000], [0.6765, 0.8235, 0.5000], [0.8235, 0.3235, 0.5000], [0.8875, 0.6125, 0.5000], [0.0055, 0.8366, 0.5000], [0.0696, 0.5696, 0.0000], [0.1552, 0.1982, 0.0000], [0.1634, 0.0055, 0.5000], [0.1982, 0.8448, 0.0000], [0.3018, 0.3448, 0.0000], [0.3366, 0.5055, 0.5000], [0.3448, 0.6982, 0.0000], [0.4304, 0.0696, 0.0000], [0.4945, 0.3366, 0.5000], [0.5055, 0.6634, 0.5000], [0.5696, 0.9304, 0.0000], [0.6552, 0.3018, 0.0000], [0.6634, 0.4945, 0.5000], [0.6982, 0.6552, 0.0000], [0.8018, 0.1552, 0.0000], [0.8366, 0.9945, 0.5000], [0.8448, 0.8018, 0.0000], [0.9304, 0.4304, 0.0000], [0.9945, 0.1634, 0.5000], [0.0273, 0.7539, 0.0000], [0.2461, 0.0273, 0.0000], [0.2539, 0.5273, 0.0000], [0.4727, 0.2539, 0.0000], [0.5273, 0.7461, 0.0000], [0.7461, 0.4727, 0.0000], [0.7539, 0.9727, 0.0000], [0.9727, 0.2461, 0.0000]],
  "spacegroup": "P4/mbm"
}

***

Record 3
{
  "formula": "PrSnIr",
  "functional": "GGA-PBE",
  "state": "relaxed",
  "cell": [[7.5263, 0.0000, 0.0000], [-3.7631, 6.5180, 0.0000], [0.0000, 0.0000, 4.2113]],
  "species": ["Pr", "Pr", "Pr", "Sn", "Sn", "Sn", "Ir", "Ir", "Ir"],
  "fractional_positions": [[0.0000, 0.5909, 0.0000], [0.4091, 0.4091, 0.0000], [0.5909, 0.0000, 0.0000], [0.0000, 0.2507, 0.5000], [0.2507, 0.0000, 0.5000], [0.7493, 0.7493, 0.5000], [0.0000, 0.0000, 0.0000], [0.3333, 0.6667, 0.5000], [0.6667, 0.3333, 0.5000]],
  "spacegroup": "P-62m"
}

***

Record 4
{
  "formula": "Pr2ZnIr",
  "functional": "GGA-PBE",
  "state": "relaxed",
  "cell": [[0.0000, 3.6354, 3.6354], [3.6354, 0.0000, 3.6354], [3.6354, 3.6354, 0.0000]],
  "species": ["Pr", "Pr", "Zn", "Ir"],
  "fractional_positions": [[0.2500, 0.2500, 0.2500], [0.7500, 0.7500, 0.7500], [0.0000, 0.0000, 0.0000], [0.5000, 0.5000, 0.5000]],
  "spacegroup": "Fm-3m"
}

***

Record 5
{
  "formula": "IrPt3",
  "functional": "GGA-PBE",
  "state": "relaxed",
  "cell": [[3.9513, 0.0000, 0.0000], [0.0000, 3.9513, 0.0000], [0.0000, 0.0000, 3.9513]],
  "species": ["Ir", "Pt", "Pt", "Pt"],
  "fractional_positions": [[0.0000, 0.0000, 0.0000], [0.0000, 0.5000, 0.5000], [0.5000, 0.0000, 0.5000], [0.5000, 0.5000, 0.0000]],
  "spacegroup": "Pm-3m"
}

***

Record 6
{
  "formula": "Zr10Ir3Pt3",
  "functional": "GGA-PBE",
  "state": "relaxed",
  "cell": [[8.1882, 0.0000, 0.0000], [-4.0941, 7.0912, 0.0000], [0.0000, 0.0000, 5.5153]],
  "species": ["Zr", "Zr", "Zr", "Zr", "Zr", "Zr", "Zr", "Zr", "Zr", "Zr", "Ir", "Ir", "Ir", "Pt", "Pt", "Pt"],
  "fractional_positions": [[0.0000, 0.2468, 0.0000], [0.0000, 0.7549, 0.5000], [0.2451, 0.2451, 0.5000], [0.2468, 0.0000, 0.0000], [0.3333, 0.6667, 0.2529], [0.3333, 0.6667, 0.7471], [0.6667, 0.3333, 0.2529], [0.6667, 0.3333, 0.7471], [0.7532, 0.7532, 0.0000], [0.7549, 0.0000, 0.5000], [0.0000, 0.3920, 0.5000], [0.3920, 0.0000, 0.5000], [0.6080, 0.6080, 0.5000], [0.0000, 0.6060, 0.0000], [0.3940, 0.3940, 0.0000], [0.6060, 0.0000, 0.0000]],
  "spacegroup": "P-62m"
}

***

Record 7
{
  "formula": "Pu5Ir4",
  "functional": "GGA-PBE",
  "state": "relaxed",
  "cell": [[6.8355, 0.0000, 0.0000], [0.0000, 14.1371, 0.0000], [0.0000, 0.0000, 7.5253]],
  "species": ["Pu", "Pu", "Pu", "Pu", "Pu", "Pu", "Pu", "Pu", "Pu", "Pu", "Pu", "Pu", "Pu", "Pu", "Pu", "Pu", "Pu", "Pu", "Pu", "Pu", "Ir", "Ir", "Ir", "Ir", "Ir", "Ir", "Ir", "Ir", "Ir", "Ir", "Ir", "Ir", "Ir", "Ir", "Ir", "Ir"],
  "fractional_positions": [[0.0007, 0.0953, 0.1698], [0.0007, 0.4047, 0.1698], [0.1448, 0.6177, 0.3350], [0.1448, 0.8823, 0.3350], [0.1994, 0.2500, 0.4708], [0.3006, 0.7500, 0.9708], [0.3552, 0.1177, 0.8350], [0.3552, 0.3823, 0.8350], [0.4993, 0.5953, 0.6698], [0.4993, 0.9047, 0.6698], [0.5007, 0.0953, 0.3302], [0.5007, 0.4047, 0.3302], [0.6448, 0.6177, 0.1650], [0.6448, 0.8823, 0.1650], [0.6994, 0.2500, 0.0292], [0.8006, 0.7500, 0.5292], [0.8552, 0.1177, 0.6650], [0.8552, 0.3823, 0.6650], [0.9993, 0.5953, 0.8302], [0.9993, 0.9047, 0.8302], [0.0420, 0.2500, 0.8707], [0.1697, 0.7500, 0.6307], [0.1962, 0.0331, 0.5424], [0.1962, 0.4669, 0.5424], [0.3038, 0.5331, 0.0424], [0.3038, 0.9669, 0.0424], [0.3303, 0.2500, 0.1307], [0.4580, 0.7500, 0.3707], [0.5420, 0.2500, 0.6293], [0.6697, 0.7500, 0.8693], [0.6962, 0.0331, 0.9576], [0.6962, 0.4669, 0.9576], [0.8038, 0.5331, 0.4576], [0.8038, 0.9669, 0.4576], [0.8303, 0.2500, 0.3693], [0.9580, 0.7500, 0.1293]],
  "spacegroup": "Pnma"
}

***

Record 8
{
  "formula": "Pu5Ir3",
  "functional": "GGA-PBE",
  "state": "relaxed",
  "cell": [[-5.5728, 5.5728, 2.7913], [5.5728, -5.5728, 2.7913], [5.5728, 5.5728, -2.7913]],
  "species": ["Pu", "Pu", "Pu", "Pu", "Pu", "Pu", "Pu", "Pu", "Pu", "Pu", "Ir", "Ir", "Ir", "Ir", "Ir", "Ir"],
  "fractional_positions": [[0.0825, 0.7790, 0.8615], [0.2210, 0.0825, 0.3034], [0.2500, 0.7500, 0.5000], [0.2790, 0.5825, 0.8615], [0.4175, 0.2790, 0.6966], [0.5825, 0.7210, 0.3034], [0.7210, 0.4175, 0.1385], [0.7500, 0.2500, 0.5000], [0.7790, 0.9175, 0.6966], [0.9175, 0.2210, 0.1385], [0.1642, 0.3358, 0.5000], [0.2500, 0.2500, 0.0000], [0.3358, 0.8358, 0.1716], [0.6642, 0.1642, 0.8284], [0.7500, 0.7500, 0.0000], [0.8358, 0.6642, 0.5000]],
  "spacegroup": "I4/mcm"
}

***

Record 9
{
  "formula": "Rb3Ir",
  "functional": "GGA-PBE",
  "state": "relaxed",
  "cell": [[8.2607, 0.0000, 0.0000], [-4.1304, 7.1540, 0.0000], [0.0000, 0.0000, 5.4570]],
  "species": ["Rb", "Rb", "Rb", "Rb", "Rb", "Rb", "Ir", "Ir"],
  "fractional_positions": [[0.1886, 0.3771, 0.2500], [0.1886, 0.8114, 0.2500], [0.3771, 0.1886, 0.7500], [0.6229, 0.8114, 0.2500], [0.8114, 0.1886, 0.7500], [0.8114, 0.6229, 0.7500], [0.3333, 0.6667, 0.7500], [0.6667, 0.3333, 0.2500]],
  "spacegroup": "P6_3/mmc"
}

***

Record 10
{
  "formula": "Rb3Ir",
  "functional": "GGA-PBE",
  "state": "relaxed",
  "cell": [[0.0000, 4.1687, 4.1687], [4.1687, 0.0000, 4.1687], [4.1687, 4.1687, 0.0000]],
  "species": ["Rb", "Rb", "Rb", "Ir"],
  "fractional_positions": [[0.0000, 0.0000, 0.0000], [0.2500, 0.2500, 0.2500], [0.7500, 0.7500, 0.7500], [0.5000, 0.5000, 0.5000]],
  "spacegroup": "Fm-3m"
}

***

Record 11
{
  "formula": "ReIr3",
  "functional": "GGA-PBE",
  "state": "relaxed",
  "cell": [[1.3718, 0.7920, 8.9985], [-1.3718, 0.7920, 8.9985], [0.0000, -1.5840, 8.9985]],
  "species": ["Re", "Ir", "Ir", "Ir"],
  "fractional_positions": [[0.0000, 0.0000, 0.0000], [0.2512, 0.2512, 0.2512], [0.5000, 0.5000, 0.5000], [0.7488, 0.7488, 0.7488]],
  "spacegroup": "R-3m"
}

***

Record 12
{
  "formula": "ReIr3",
  "functional": "GGA-PBE",
  "state": "relaxed",
  "cell": [[5.5394, 0.0000, 0.0000], [-2.7697, 4.7972, 0.0000], [0.0000, 0.0000, 4.3983]],
  "species": ["Re", "Re", "Ir", "Ir", "Ir", "Ir", "Ir", "Ir"],
  "fractional_positions": [[0.3333, 0.6667, 0.2500], [0.6667, 0.3333, 0.7500], [0.1674, 0.3349, 0.7500], [0.1674, 0.8326, 0.7500], [0.3349, 0.1674, 0.2500], [0.6651, 0.8326, 0.7500], [0.8326, 0.1674, 0.2500], [0.8326, 0.6651, 0.2500]],
  "spacegroup": "P6_3/mmc"
}

***

no.,formation energy from the elements (meV/atom)
1,-509
2,-667
3,-766
4,-445
5,82
6,-770
7,381
8,-429
9,791
10,791
11,-101
12,-152